Crystalline Rb2MoO4F2 at its relaxed geometry, computed with PBE with a Hubbard U.

a = 7.9425 Å, b = 7.9425 Å, c = 7.1276 Å
α = 90.00°, β = 90.00°, γ = 133.36°
With the nearest neighbours (Å) after each atom.
Element x y z (fractional)
Rb1 0.0541 0.9459 0.7500  3 F 2.88-3.17, 8 O 3.03-3.23
Rb2 0.2674 0.7326 0.2500  3 F 3.01-3.16, 8 O 3.07-3.25
Rb3 0.7326 0.2674 0.7500  3 F 3.01-3.16, 8 O 3.07-3.25
Rb4 0.9459 0.0541 0.2500  3 F 2.88-3.17, 8 O 3.03-3.23
Mo1 0.3909 0.6091 0.7500  4 O 1.89, 2 F 1.97-2.03
Mo2 0.6091 0.3909 0.2500  4 O 1.89, 2 F 1.97-2.03
O1 0.1570 0.3849 0.5790  1 Mo 1.89
O2 0.1570 0.3849 0.9210  1 Mo 1.89
O3 0.3849 0.1570 0.0790  1 Mo 1.89
O4 0.3849 0.1570 0.4210  1 Mo 1.89
O5 0.6151 0.8430 0.5790  1 Mo 1.89
O6 0.6151 0.8430 0.9210  1 Mo 1.89
O7 0.8430 0.6151 0.0790  1 Mo 1.89
O8 0.8430 0.6151 0.4210  1 Mo 1.89
F1 0.2516 0.7484 0.7500  1 Mo 2.03
F2 0.4739 0.5261 0.2500  1 Mo 1.97
F3 0.5261 0.4739 0.7500  1 Mo 1.97
F4 0.7484 0.2516 0.2500  1 Mo 2.03

Results
The energy relative to the elements comes out at -1951 meV per atom. The calculated volume comes out at 326.9 Å³/cell. For the total DFT energy (no corrections), the calculation gives -5.234 eV/atom.